## Li3H4IN2 (PBE)

Data for a geometry-optimized Li3H4IN2 structure.

Calculated values
For the magnetization, the calculation gives 0.00 μB/atom. The value obtained for the energy of formation is -6.9 eV per formula unit.

a = 7.219 Å, b = 7.219 Å, c = 11.864 Å
α = 90.00°, β = 90.00°, γ = 118.99°
Positions (direct):
Li: 0.097 0.903 0.500
Li: 0.101 0.215 0.257
Li: 0.116 0.884 0.298
Li: 0.163 0.398 0.414
Li: 0.215 0.101 0.757
Li: 0.398 0.163 0.914
Li: 0.602 0.837 0.414
Li: 0.785 0.899 0.257
Li: 0.837 0.602 0.914
Li: 0.884 0.116 0.798
Li: 0.899 0.785 0.757
Li: 0.903 0.097 0.000
H: 0.050 0.169 0.613
H: 0.145 0.855 0.949
H: 0.169 0.050 0.113
H: 0.218 0.311 0.970
H: 0.225 0.428 0.857
H: 0.235 0.765 0.850
H: 0.311 0.218 0.470
H: 0.428 0.225 0.357
H: 0.572 0.775 0.857
H: 0.689 0.782 0.970
H: 0.765 0.235 0.350
H: 0.775 0.572 0.357
H: 0.782 0.689 0.470
H: 0.831 0.950 0.613
H: 0.855 0.145 0.449
H: 0.950 0.831 0.113
I: 0.322 0.678 0.587
I: 0.333 0.667 0.217
I: 0.667 0.333 0.717
I: 0.678 0.322 0.087
N: 0.014 0.986 0.140
N: 0.154 0.846 0.862
N: 0.170 0.277 0.887
N: 0.277 0.170 0.387
N: 0.723 0.830 0.887
N: 0.830 0.723 0.387
N: 0.846 0.154 0.362
N: 0.986 0.014 0.640

***

## LiH2IO (PBE)

Data for a geometry-optimized LiH2IO structure.

Calculated values
For the magnetization, the calculation gives 0.00 μB/atom. The value obtained for the energy of formation is -6.3 eV per formula unit.

a = 5.673 Å, b = 4.390 Å, c = 6.350 Å
α = 90.00°, β = 90.19°, γ = 90.00°
Positions (direct):
Li: 0.000 0.000 0.000
Li: 0.002 0.000 0.499
H: 0.353 0.177 0.759
H: 0.353 0.823 0.759
H: 0.645 0.176 0.248
H: 0.645 0.824 0.248
I: 0.253 0.500 0.249
I: 0.751 0.500 0.748
O: 0.245 0.000 0.756
O: 0.754 0.000 0.248